Entry 1:
# CeOF

A geometry-optimized CeOF structure (PBE, the Materials Project database).

Crystal system   tetragonal
Space group   No. 129
Calculated formation energy   -4.08 eV/atom

Cell lengths 4.0312, 4.0312, 5.7737 Å; angles 90.00, 90.00, 90.00 degrees
With the nearest neighbours (Å) after each atom.
Atoms (fractional coordinates):
Ce  0.2500  0.2500  0.2132  4 O 2.36, 4 F 2.61
Ce  0.7500  0.7500  0.7868  4 O 2.36, 4 F 2.61
O  0.2500  0.7500  0.0000  4 Ce 2.36
O  0.7500  0.2500  0.0000  4 Ce 2.36
F  0.2500  0.7500  0.5000  4 Ce 2.61, 4 F 2.85, 2 O 2.89
F  0.7500  0.2500  0.5000  4 Ce 2.61, 4 F 2.85, 2 O 2.89

---

Entry 2:
# LiNd2Ir

A geometry-optimized LiNd2Ir structure (PBE, the Materials Project database).

Crystal system   cubic
Space group   No. 225
Calculated formation energy   -0.41 eV/atom

Cell lengths 5.0903, 5.0903, 5.0903 Å; angles 60.00, 60.00, 60.00 degrees
With the nearest neighbours (Å) after each atom.
Atoms (fractional coordinates):
Li  0.0000  0.0000  0.0000  8 Nd 3.12
Nd  0.2500  0.2500  0.2500  4 Li 3.12, 4 Ir 3.12
Nd  0.7500  0.7500  0.7500  4 Li 3.12, 4 Ir 3.12
Ir  0.5000  0.5000  0.5000  8 Nd 3.12

---

Entry 3:
# CeAsO3

A geometry-optimized CeAsO3 structure (PBE, the Materials Project database).

Crystal system   monoclinic
Space group   No. 14
Calculated formation energy   -2.82 eV/atom

Cell lengths 9.1574, 7.8351, 8.3522 Å; angles 90.00, 103.49, 90.00 degrees
With the nearest neighbours (Å) after each atom.
Atoms (fractional coordinates):
Ce  0.0129  0.1878  0.3428  6 O 2.38-2.65
Ce  0.0129  0.3122  0.8428  6 O 2.38-2.65
Ce  0.4022  0.1650  0.7725  6 O 2.44-2.63
Ce  0.4022  0.3350  0.2725  6 O 2.44-2.63
Ce  0.5978  0.6650  0.7275  6 O 2.44-2.63
Ce  0.5978  0.8350  0.2275  6 O 2.44-2.63
Ce  0.9871  0.6878  0.1572  6 O 2.38-2.65
Ce  0.9871  0.8122  0.6572  6 O 2.38-2.65
As  0.2048  0.5177  0.5505  3 O 1.77-1.81
As  0.2048  0.9823  0.0505  3 O 1.77-1.81
As  0.3129  0.5926  0.9376  3 O 1.77-1.82
As  0.3129  0.9074  0.4376  3 O 1.77-1.82
As  0.6871  0.0926  0.5624  3 O 1.77-1.82
As  0.6871  0.4074  0.0624  3 O 1.77-1.82
As  0.7952  0.0177  0.9495  3 O 1.77-1.81
As  0.7952  0.4823  0.4495  3 O 1.77-1.81
O  0.1098  0.6080  0.9092  1 As 1.82
O  0.1098  0.8920  0.4092  1 As 1.82
O  0.1312  0.1768  0.1181  1 As 1.81
O  0.1312  0.3232  0.6181  1 As 1.81
O  0.1558  0.0330  0.8326  1 As 1.81
O  0.1558  0.4670  0.3326  1 As 1.81
O  0.3153  0.1374  0.4564  1 As 1.81
O  0.3153  0.3626  0.9564  1 As 1.81
O  0.3778  0.6359  0.1503  1 As 1.77
O  0.3778  0.8641  0.6503  1 As 1.77
O  0.3972  0.0389  0.0941  1 As 1.77
O  0.3972  0.4611  0.5941  1 As 1.77
O  0.6028  0.5389  0.4059  1 As 1.77
O  0.6028  0.9611  0.9059  1 As 1.77
O  0.6222  0.1359  0.3497  1 As 1.77
O  0.6222  0.3641  0.8497  1 As 1.77
O  0.6847  0.6374  0.0436  1 As 1.81
O  0.6847  0.8626  0.5436  1 As 1.81
O  0.8442  0.5330  0.6674  1 As 1.81
O  0.8442  0.9670  0.1674  1 As 1.81
O  0.8688  0.6768  0.3819  1 As 1.81
O  0.8688  0.8232  0.8819  1 As 1.81
O  0.8902  0.1080  0.5908  1 As 1.82
O  0.8902  0.3920  0.0908  1 As 1.82

---

Entry 4:
# CdGe3

A geometry-optimized CdGe3 structure (PBE, the Materials Project database).

Crystal system   hexagonal
Space group   No. 194
Calculated formation energy   0.29 eV/atom
Polymorph energy (0 for the lowest one)   3 meV per atom

Cell lengths 6.1748, 6.1748, 5.0164 Å; angles 90.00, 90.00, 120.00 degrees
With the nearest neighbours (Å) after each atom.
Atoms (fractional coordinates):
Cd  0.3333  0.6667  0.2500  12 Ge 3.09-3.10
Cd  0.6667  0.3333  0.7500  12 Ge 3.09-3.10
Ge  0.1634  0.3267  0.7500  8 Ge 3.03-3.15, 4 Cd 3.09-3.10
Ge  0.1634  0.8366  0.7500  8 Ge 3.03-3.15, 4 Cd 3.09-3.10
Ge  0.3267  0.1634  0.2500  8 Ge 3.03-3.15, 4 Cd 3.09-3.10
Ge  0.6733  0.8366  0.7500  8 Ge 3.03-3.15, 4 Cd 3.09-3.10
Ge  0.8366  0.1634  0.2500  8 Ge 3.03-3.15, 4 Cd 3.09-3.10
Ge  0.8366  0.6733  0.2500  8 Ge 3.03-3.15, 4 Cd 3.09-3.10